Record 1
# La2InRh2

A relaxed La2InRh2 crystal (PBE-GGA, the Materials Project database).

Cell: 7.721 7.721 3.998 Å, 90.00 90.00 90.00°
Sites, in units of the cell vectors:
1 La 0.172 0.328 0.000
2 La 0.328 0.828 0.000
3 La 0.672 0.172 0.000
4 La 0.828 0.672 0.000
5 In 0.000 0.000 0.500
6 In 0.500 0.500 0.500
7 Rh 0.133 0.633 0.500
8 Rh 0.367 0.133 0.500
9 Rh 0.633 0.867 0.500
10 Rh 0.867 0.367 0.500

## Properties
- E_form (eV/atom) = -0.726

=====

Record 2
# LaIn5Rh

A relaxed LaIn5Rh crystal (PBE-GGA, the Materials Project database).

Cell: 4.743 4.743 7.701 Å, 90.00 90.00 90.00°
Sites, in units of the cell vectors:
1 La 0.000 0.000 0.000
2 In 0.000 0.500 0.307
3 In 0.000 0.500 0.693
4 In 0.500 0.000 0.307
5 In 0.500 0.000 0.693
6 In 0.500 0.500 0.000
7 Rh 0.000 0.000 0.500

## Properties
- E_form (eV/atom) = -0.457

=====

Record 3
# La4In5S13

A relaxed La4In5S13 crystal (PBE-GGA, the Materials Project database).

Cell: 11.990 21.874 4.046 Å, 90.00 90.00 90.00°
Sites, in units of the cell vectors:
1 La 0.019 0.168 0.000
2 La 0.165 0.343 0.000
3 La 0.335 0.843 0.000
4 La 0.481 0.668 0.000
5 La 0.519 0.332 0.000
6 La 0.665 0.157 0.000
7 La 0.835 0.657 0.000
8 La 0.981 0.832 0.000
9 In 0.000 0.500 0.000
10 In 0.152 0.671 0.500
11 In 0.155 0.993 0.500
12 In 0.345 0.493 0.500
13 In 0.348 0.171 0.500
14 In 0.500 0.000 0.000
15 In 0.652 0.829 0.500
16 In 0.655 0.507 0.500
17 In 0.845 0.007 0.500
18 In 0.848 0.329 0.500
19 S 0.000 0.000 0.000
20 S 0.000 0.410 0.500
21 S 0.000 0.590 0.500
22 S 0.074 0.262 0.500
23 S 0.154 0.867 0.500
24 S 0.164 0.113 0.500
25 S 0.173 0.737 0.000
26 S 0.203 0.479 0.000
27 S 0.297 0.979 0.000
28 S 0.327 0.237 0.000
29 S 0.336 0.613 0.500
30 S 0.346 0.367 0.500
31 S 0.426 0.762 0.500
32 S 0.500 0.090 0.500
33 S 0.500 0.500 0.000
34 S 0.500 0.910 0.500
35 S 0.574 0.238 0.500
36 S 0.654 0.633 0.500
37 S 0.664 0.387 0.500
38 S 0.673 0.763 0.000
39 S 0.703 0.021 0.000
40 S 0.797 0.521 0.000
41 S 0.827 0.263 0.000
42 S 0.836 0.887 0.500
43 S 0.846 0.133 0.500
44 S 0.926 0.738 0.500

## Properties
- E_form (eV/atom) = -1.572
- E (MP2020) (eV per cell) = -243.730
- total magnetic moment (μB per cell) = 0.0

=====

Record 4
# La9In5S21

A relaxed La9In5S21 crystal (PBE-GGA, the Materials Project database).

Cell: 12.092 12.092 12.092 Å, 94.99 94.99 94.99°
Sites, in units of the cell vectors:
1 La 0.027 0.801 0.172
2 La 0.038 0.665 0.809
3 La 0.137 0.510 0.365
4 La 0.144 0.375 0.996
5 La 0.172 0.027 0.801
6 La 0.327 0.473 0.699
7 La 0.365 0.137 0.510
8 La 0.375 0.996 0.144
9 La 0.468 0.847 0.699
10 La 0.473 0.699 0.327
11 La 0.510 0.365 0.137
12 La 0.665 0.809 0.038
13 La 0.699 0.327 0.473
14 La 0.699 0.468 0.847
15 La 0.801 0.172 0.027
16 La 0.809 0.038 0.665
17 La 0.847 0.699 0.468
18 La 0.996 0.144 0.375
19 In 0.090 0.090 0.090
20 In 0.145 0.811 0.479
21 In 0.278 0.278 0.278
22 In 0.312 0.644 0.979
23 In 0.479 0.145 0.811
24 In 0.590 0.590 0.590
25 In 0.644 0.979 0.312
26 In 0.778 0.778 0.778
27 In 0.811 0.479 0.145
28 In 0.979 0.312 0.644
29 S 0.011 0.158 0.908
30 S 0.035 0.119 0.610
31 S 0.063 0.299 0.203
32 S 0.071 0.638 0.556
33 S 0.106 0.441 0.771
34 S 0.119 0.610 0.035
35 S 0.158 0.908 0.011
36 S 0.203 0.063 0.299
37 S 0.222 0.735 0.306
38 S 0.232 0.331 0.481
39 S 0.271 0.941 0.605
40 S 0.274 0.703 0.788
41 S 0.299 0.203 0.063
42 S 0.306 0.222 0.735
43 S 0.331 0.481 0.232
44 S 0.370 0.454 0.937
45 S 0.393 0.644 0.540
46 S 0.399 0.975 0.889
47 S 0.441 0.771 0.106
48 S 0.454 0.937 0.370
49 S 0.481 0.232 0.331
50 S 0.540 0.393 0.644
51 S 0.556 0.071 0.638
52 S 0.578 0.674 0.814
53 S 0.605 0.271 0.941
54 S 0.610 0.035 0.119
55 S 0.638 0.556 0.071
56 S 0.644 0.540 0.393
57 S 0.674 0.814 0.578
58 S 0.703 0.788 0.274
59 S 0.715 0.964 0.865
60 S 0.735 0.306 0.222
61 S 0.771 0.106 0.441
62 S 0.788 0.274 0.703
63 S 0.814 0.578 0.674
64 S 0.865 0.715 0.964
65 S 0.889 0.399 0.975
66 S 0.908 0.011 0.158
67 S 0.937 0.370 0.454
68 S 0.941 0.605 0.271
69 S 0.964 0.865 0.715
70 S 0.975 0.889 0.399

## Properties
- E_form (eV/atom) = -1.905
- E (MP2020) (eV per cell) = -423.430
- total magnetic moment (μB per cell) = 0.0

=====

Record 5
# La4InSbS9

A relaxed La4InSbS9 crystal (PBE-GGA, the Materials Project database).

Cell: 10.369 10.369 28.448 Å, 90.00 90.00 90.00°
Sites, in units of the cell vectors:
1 La 0.003 0.232 0.199
2 La 0.010 0.351 0.052
3 La 0.056 0.729 0.908
4 La 0.060 0.276 0.912
5 La 0.149 0.510 0.302
6 La 0.224 0.560 0.162
7 La 0.229 0.444 0.658
8 La 0.232 0.003 0.801
9 La 0.268 0.503 0.449
10 La 0.271 0.944 0.592
11 La 0.276 0.060 0.088
12 La 0.351 0.010 0.948
13 La 0.440 0.776 0.338
14 La 0.444 0.229 0.342
15 La 0.490 0.851 0.198
16 La 0.497 0.732 0.051
17 La 0.503 0.268 0.551
18 La 0.510 0.149 0.698
19 La 0.556 0.771 0.842
20 La 0.560 0.224 0.838
21 La 0.649 0.990 0.448
22 La 0.724 0.940 0.588
23 La 0.729 0.056 0.092
24 La 0.732 0.497 0.949
25 La 0.768 0.997 0.301
26 La 0.771 0.556 0.158
27 La 0.776 0.440 0.662
28 La 0.851 0.490 0.802
29 La 0.940 0.724 0.412
30 La 0.944 0.271 0.408
31 La 0.990 0.649 0.552
32 La 0.997 0.768 0.699
33 In 0.013 0.798 0.047
34 In 0.202 0.987 0.453
35 In 0.298 0.487 0.797
36 In 0.487 0.298 0.203
37 In 0.513 0.702 0.703
38 In 0.702 0.513 0.297
39 In 0.798 0.013 0.953
40 In 0.987 0.202 0.547
41 Sb 0.007 0.139 0.694
42 Sb 0.139 0.007 0.306
43 Sb 0.361 0.507 0.944
44 Sb 0.493 0.639 0.556
45 Sb 0.507 0.361 0.056
46 Sb 0.639 0.493 0.444
47 Sb 0.861 0.993 0.806
48 Sb 0.993 0.861 0.194
49 S 0.002 0.497 0.718
50 S 0.002 0.605 0.099
51 S 0.003 0.502 0.968
52 S 0.006 0.986 0.103
53 S 0.009 0.176 0.788
54 S 0.014 0.994 0.397
55 S 0.018 0.814 0.800
56 S 0.105 0.498 0.849
57 S 0.175 0.703 0.626
58 S 0.176 0.009 0.212
59 S 0.183 0.183 0.000
60 S 0.186 0.982 0.700
61 S 0.188 0.299 0.127
62 S 0.190 0.190 0.500
63 S 0.194 0.794 0.504
64 S 0.201 0.688 0.377
65 S 0.203 0.325 0.376
66 S 0.206 0.806 0.996
67 S 0.294 0.306 0.254
68 S 0.297 0.825 0.874
69 S 0.299 0.188 0.873
70 S 0.306 0.294 0.746
71 S 0.310 0.690 0.750
72 S 0.312 0.799 0.123
73 S 0.314 0.482 0.550
74 S 0.317 0.683 0.250
75 S 0.324 0.509 0.038
76 S 0.325 0.203 0.624
77 S 0.395 0.998 0.401
78 S 0.482 0.314 0.450
79 S 0.486 0.494 0.853
80 S 0.491 0.676 0.462
81 S 0.494 0.486 0.147
82 S 0.497 0.002 0.282
83 S 0.498 0.105 0.151
84 S 0.498 0.997 0.532
85 S 0.502 0.003 0.032
86 S 0.502 0.895 0.651
87 S 0.503 0.998 0.782
88 S 0.506 0.514 0.647
89 S 0.509 0.324 0.962
90 S 0.514 0.506 0.353
91 S 0.518 0.686 0.950
92 S 0.605 0.002 0.901
93 S 0.675 0.797 0.124
94 S 0.676 0.491 0.538
95 S 0.683 0.317 0.750
96 S 0.686 0.518 0.050
97 S 0.688 0.201 0.623
98 S 0.690 0.310 0.250
99 S 0.694 0.706 0.246
100 S 0.701 0.812 0.373
101 S 0.703 0.175 0.374
102 S 0.706 0.694 0.754
103 S 0.794 0.194 0.496
104 S 0.797 0.675 0.876
105 S 0.799 0.312 0.877
106 S 0.806 0.206 0.004
107 S 0.810 0.810 0.000
108 S 0.812 0.701 0.627
109 S 0.814 0.018 0.200
110 S 0.817 0.817 0.500
111 S 0.824 0.991 0.712
112 S 0.825 0.297 0.126
113 S 0.895 0.502 0.349
114 S 0.982 0.186 0.300
115 S 0.986 0.006 0.897
116 S 0.991 0.824 0.288
117 S 0.994 0.014 0.603
118 S 0.997 0.498 0.468
119 S 0.998 0.395 0.599
120 S 0.998 0.503 0.218

## Properties
- E_form (eV/atom) = -1.909
- E (MP2020) (eV per cell) = -739.961
- total magnetic moment (μB per cell) = 0.0

=====

Record 6
# La2InSi2

A relaxed La2InSi2 crystal (PBE-GGA, the Materials Project database).

Cell: 7.717 14.937 4.439 Å, 90.00 90.00 90.00°
Sites, in units of the cell vectors:
1 La 0.112 0.217 0.000
2 La 0.249 0.965 0.000
3 La 0.251 0.465 0.000
4 La 0.388 0.717 0.000
5 La 0.612 0.283 0.000
6 La 0.749 0.535 0.000
7 La 0.751 0.035 0.000
8 La 0.888 0.783 0.000
9 In 0.065 0.624 0.500
10 In 0.435 0.124 0.500
11 In 0.565 0.876 0.500
12 In 0.935 0.376 0.500
13 Si 0.051 0.076 0.500
14 Si 0.179 0.817 0.500
15 Si 0.321 0.317 0.500
16 Si 0.449 0.576 0.500
17 Si 0.551 0.424 0.500
18 Si 0.679 0.683 0.500
19 Si 0.821 0.183 0.500
20 Si 0.949 0.924 0.500

## Properties
- E_form (eV/atom) = -0.663
- E (MP2020) (eV per cell) = -107.155
- total magnetic moment (μB per cell) = 0.0

=====

Record 7
# La2In3Sn3

A relaxed La2In3Sn3 crystal (PBE-GGA, the Materials Project database).

Cell: 4.795 4.797 9.587 Å, 90.00 90.00 90.00°
Sites, in units of the cell vectors:
1 La 0.000 0.000 0.246
2 La 0.000 0.000 0.754
3 In 0.500 0.000 0.500
4 In 0.500 0.500 0.251
5 In 0.500 0.500 0.749
6 Sn 0.000 0.500 0.000
7 Sn 0.000 0.500 0.500
8 Sn 0.500 0.000 0.000

## Properties
- E_form (eV/atom) = -0.534

=====

Record 8
# LaInW

A relaxed LaInW crystal (PBE-GGA, the Materials Project database).

Cell: 4.827 4.827 4.827 Å, 60.00 60.00 60.00°
Sites, in units of the cell vectors:
1 La 0.000 0.000 0.000
2 In 0.500 0.500 0.500
3 W 0.750 0.750 0.750

## Properties
- E_form (eV/atom) = 0.853
- total magnetic moment (μB per cell) = 0.0

=====

Record 9
# LiIn3

A relaxed LiIn3 crystal (PBE-GGA, the Materials Project database).

Cell: 5.691 5.691 5.691 Å, 133.57 133.57 67.75°
Sites, in units of the cell vectors:
1 Li 0.000 0.000 0.000
2 In 0.250 0.750 0.500
3 In 0.500 0.500 0.000
4 In 0.750 0.250 0.500

## Properties
- E_form (eV/atom) = -0.123

=====

Record 10
# Li3In

A relaxed Li3In crystal (PBE-GGA, the Materials Project database).

Cell: 4.703 4.703 4.703 Å, 60.00 60.00 60.00°
Sites, in units of the cell vectors:
1 Li 0.000 0.000 0.000
2 Li 0.250 0.250 0.250
3 Li 0.750 0.750 0.750
4 In 0.500 0.500 0.500

## Properties
- E_form (eV/atom) = -0.240
- polymorph energy (0 for the lowest one) (eV/atom) = 0.000

=====

Record 11
# LiIn3

A relaxed LiIn3 crystal (PBE-GGA, the Materials Project database).

Cell: 4.593 4.593 4.593 Å, 90.00 90.00 90.00°
Sites, in units of the cell vectors:
1 Li 0.000 0.000 0.000
2 In 0.000 0.500 0.500
3 In 0.500 0.000 0.500
4 In 0.500 0.500 0.000

## Properties
- E_form (eV/atom) = -0.132

=====

Record 12
# Li5In4

A relaxed Li5In4 crystal (PBE-GGA, the Materials Project database).

Cell: 4.775 4.775 8.975 Å, 90.00 90.00 120.00°
Sites, in units of the cell vectors:
1 Li 0.000 0.000 0.000
2 Li 0.333 0.667 0.117
3 Li 0.333 0.667 0.452
4 Li 0.667 0.333 0.548
5 Li 0.667 0.333 0.883
6 In 0.000 0.000 0.335
7 In 0.000 0.000 0.665
8 In 0.333 0.667 0.797
9 In 0.667 0.333 0.203

## Properties
- E_form (eV/atom) = -0.282